No. 1
# TeW2Se3

A relaxed structure of TeW2Se3 (PBE, the Materials Project database).

a = 3.3777 Å, b = 3.3777 Å, c = 14.7587 Å
α = 90.00°, β = 90.00°, γ = 120.00°
Last column: nearest neighbours and their distance in Å.
Fractional coordinates of all 6 atoms:
1 Te 0.3333 0.6667 0.3716  3 W 2.72
2 W 0.0000 0.0000 0.2430  3 Se 2.55, 3 Te 2.72
3 W 0.3333 0.6667 0.7514  6 Se 2.56
4 Se 0.0000 0.0000 0.6386  3 W 2.56
5 Se 0.0000 0.0000 0.8640  3 W 2.56
6 Se 0.3333 0.6667 0.1314  3 W 2.55

Output
Symmetry   P3m1 (156)
Magnetization   0.0000 μB per atom
Calculated formation energy   -0.65 eV/atom
DFT total energy   -7.008 eV per atom

***

No. 2
# K3NdP2S8

A relaxed structure of K3NdP2S8 (PBE, the Materials Project database).

a = 17.2413 Å, b = 9.2468 Å, c = 9.6693 Å
α = 89.23°, β = 90.00°, γ = 90.00°
Last column: nearest neighbours and their distance in Å.
Fractional coordinates of all 56 atoms:
1 K 0.7071 0.1230 0.8750  6 S 3.24-3.53
2 K 0.2071 0.8770 0.6250  6 S 3.24-3.53
3 K 0.2929 0.8770 0.1250  6 S 3.24-3.53
4 K 0.7929 0.1230 0.3750  6 S 3.24-3.53
5 K 0.7880 0.6183 0.8704  6 S 3.31-3.48
6 K 0.2880 0.3817 0.6296  6 S 3.31-3.48
7 K 0.2120 0.3817 0.1296  6 S 3.31-3.48
8 K 0.7120 0.6183 0.3704  6 S 3.31-3.48
9 K 0.5303 0.7325 0.9861  6 S 3.22-3.51
10 K 0.0303 0.2675 0.5139  6 S 3.22-3.51
11 K 0.4697 0.2675 0.0139  6 S 3.22-3.51
12 K 0.9697 0.7325 0.4861  6 S 3.22-3.51
13 Nd 0.9854 0.2276 0.9746  7 S 2.88-3.15
14 Nd 0.4854 0.7724 0.5254  7 S 2.88-3.15
15 Nd 0.0146 0.7724 0.0254  7 S 2.88-3.15
16 Nd 0.5146 0.2276 0.4746  7 S 2.88-3.15
17 P 0.4004 0.0045 0.7435  4 S 2.02-2.08
18 P 0.9004 0.9955 0.7565  4 S 2.02-2.08
19 P 0.5996 0.9955 0.2565  4 S 2.02-2.08
20 P 0.0996 0.0045 0.2435  4 S 2.02-2.08
21 P 0.5977 0.4753 0.7194  4 S 2.02-2.08
22 P 0.0977 0.5247 0.7806  4 S 2.02-2.08
23 P 0.4023 0.5247 0.2806  4 S 2.02-2.08
24 P 0.9023 0.4753 0.2194  4 S 2.02-2.08
25 S 0.3255 0.1183 0.8600  1 P 2.02
26 S 0.8255 0.8817 0.6400  1 P 2.02
27 S 0.6745 0.8817 0.1400  1 P 2.02
28 S 0.1745 0.1183 0.3600  1 P 2.02
29 S 0.8869 0.2140 0.7266  1 P 2.05
30 S 0.3869 0.7860 0.7734  1 P 2.05
31 S 0.1131 0.7860 0.2734  1 P 2.05
32 S 0.6131 0.2140 0.2266  1 P 2.05
33 S 0.5165 0.0548 0.7580  1 P 2.06
34 S 0.0165 0.9452 0.7420  1 P 2.06
35 S 0.4835 0.9452 0.2420  1 P 2.06
36 S 0.9835 0.0548 0.2580  1 P 2.06
37 S 0.3803 0.0351 0.5330  1 P 2.08
38 S 0.8803 0.9649 0.9670  1 P 2.08
39 S 0.6197 0.9649 0.4670  1 P 2.08
40 S 0.1197 0.0351 0.0330  1 P 2.08
41 S 0.6253 0.4348 0.9195  1 P 2.02
42 S 0.1253 0.5652 0.5805  1 P 2.02
43 S 0.3747 0.5652 0.0805  1 P 2.02
44 S 0.8747 0.4348 0.4195  1 P 2.02
45 S 0.6563 0.3372 0.5912  1 P 2.06
46 S 0.1563 0.6628 0.9088  1 P 2.06
47 S 0.3437 0.6628 0.4088  1 P 2.06
48 S 0.8437 0.3372 0.0912  1 P 2.06
49 S 0.6266 0.6861 0.6704  1 P 2.06
50 S 0.1266 0.3139 0.8296  1 P 2.06
51 S 0.3734 0.3139 0.3296  1 P 2.06
52 S 0.8734 0.6861 0.1704  1 P 2.06
53 S 0.9797 0.5422 0.8219  1 P 2.08
54 S 0.4797 0.4578 0.6781  1 P 2.08
55 S 0.0203 0.4578 0.1781  1 P 2.08
56 S 0.5203 0.5422 0.3219  1 P 2.08

Output
Symmetry   P2_1/c (14)
Magnetization   0.0000 μB per atom
Calculated formation energy   -1.35 eV/atom
DFT total energy   -4.780 eV per atom

***

No. 3
# Sm3SbO3

A relaxed structure of Sm3SbO3 (PBE, the Materials Project database).

a = 7.0415 Å, b = 7.0415 Å, c = 12.0746 Å
α = 62.69°, β = 62.69°, γ = 32.76°
Last column: nearest neighbours and their distance in Å.
Fractional coordinates of all 14 atoms:
1 Sm 0.8720 0.8720 0.8989  4 O 2.28-2.51
2 Sm 0.6566 0.6566 0.7925  4 O 2.27-2.39
3 Sm 0.1198 0.1198 0.5576  3 O 2.31-2.33
4 Sm 0.8802 0.8802 0.4424  3 O 2.31-2.33
5 Sm 0.3434 0.3434 0.2075  4 O 2.27-2.39
6 Sm 0.1280 0.1280 0.1011  4 O 2.28-2.51
7 Sb 0.3808 0.3808 0.6795  8 Sm 3.27-3.49
8 Sb 0.6192 0.6192 0.3205  8 Sm 3.27-3.49
9 O 0.6621 0.6621 0.9877  4 Sm 2.33-2.51
10 O 0.0643 0.0643 0.8028  3 Sm 2.28-2.32
11 O 0.6894 0.6894 0.5900  4 Sm 2.27-2.33
12 O 0.3106 0.3106 0.4100  4 Sm 2.27-2.33
13 O 0.9357 0.9357 0.1972  3 Sm 2.28-2.32
14 O 0.3379 0.3379 0.0123  4 Sm 2.33-2.51

Output
Symmetry   C2/m (12)
Magnetization   0.0004 μB per atom
Calculated formation energy   -3.07 eV/atom
DFT total energy   -7.505 eV per atom

***

No. 4
# YMg14Cu

A relaxed structure of YMg14Cu (PBE, the Materials Project database).

a = 6.4058 Å, b = 6.4058 Å, c = 10.2397 Å
α = 90.00°, β = 90.00°, γ = 120.00°
Last column: nearest neighbours and their distance in Å.
Fractional coordinates of all 16 atoms:
1 Y 0.1667 0.3333 0.1250  12 Mg 3.20-3.25
2 Mg 0.1792 0.8396 0.1250  10 Mg 3.08-3.32, 2 Y 3.20
3 Mg 0.1628 0.8314 0.6250  10 Mg 3.06-3.24, 2 Cu 3.20
4 Mg 0.6604 0.3208 0.1250  10 Mg 3.08-3.32, 2 Y 3.20
5 Mg 0.6686 0.3372 0.6250  10 Mg 3.06-3.24, 2 Cu 3.20
6 Mg 0.6604 0.8396 0.1250  10 Mg 3.08-3.32, 2 Y 3.20
7 Mg 0.6686 0.8314 0.6250  10 Mg 3.06-3.24, 2 Cu 3.20
8 Mg 0.3292 0.1708 0.3889  1 Cu 3.02, 10 Mg 3.06-3.28, 1 Y 3.25
9 Mg 0.3292 0.1708 0.8611  1 Cu 3.02, 10 Mg 3.06-3.28, 1 Y 3.25
10 Mg 0.3292 0.6584 0.3889  1 Cu 3.02, 10 Mg 3.06-3.28, 1 Y 3.25
11 Mg 0.3292 0.6584 0.8611  1 Cu 3.02, 10 Mg 3.06-3.28, 1 Y 3.25
12 Mg 0.8416 0.1708 0.3889  1 Cu 3.02, 10 Mg 3.06-3.28, 1 Y 3.25
13 Mg 0.8416 0.1708 0.8611  1 Cu 3.02, 10 Mg 3.06-3.28, 1 Y 3.25
14 Mg 0.8333 0.6667 0.3691  12 Mg 3.15-3.21
15 Mg 0.8333 0.6667 0.8809  12 Mg 3.15-3.21
16 Cu 0.1667 0.3333 0.6250  12 Mg 3.02-3.20

Output
Excess energy over the best structure of this formula in the dataset   0.010 eV per atom
Symmetry   P-6m2 (187)
Magnetization   0.0000 μB per atom
Calculated formation energy   0.02 eV/atom
DFT total energy   -2.043 eV per atom

***

No. 5
# Ba2DyMgNbO6

A relaxed structure of Ba2DyMgNbO6 (PBE, the Materials Project database).

a = 6.8359 Å, b = 6.8371 Å, c = 6.8359 Å
α = 51.66°, β = 51.67°, γ = 51.66°
Last column: nearest neighbours and their distance in Å.
Fractional coordinates of all 11 atoms:
1 Ba 0.6983 0.6968 0.6983  3 O 2.54-2.55
2 Ba 0.2740 0.2725 0.2740  9 O 2.98-2.99
3 Dy 0.4939 0.4924 0.4939  3 O 2.29
4 Mg 0.8680 0.8664 0.8680  3 O 1.97
5 Nb 0.0198 0.0185 0.0198  3 O 1.97-1.98
6 O 0.2470 0.7713 0.7719  1 Mg 1.97
7 O 0.2410 0.7487 0.2410  1 Nb 1.97
8 O 0.7715 0.2460 0.7715  1 Mg 1.97
9 O 0.2409 0.2403 0.7485  1 Nb 1.98
10 O 0.7485 0.2403 0.2409  1 Nb 1.98
11 O 0.7719 0.7713 0.2470  1 Mg 1.97

Output
Excess energy over the best structure of this formula in the dataset   0.000 eV per atom
Symmetry   R3m (160)
Magnetization   0.0000 μB per atom
Calculated formation energy   -2.85 eV/atom
DFT total energy   -7.006 eV per atom

***

No. 6
# Cu3As

A relaxed structure of Cu3As (PBE, the Materials Project database).

a = 7.1907 Å, b = 7.1907 Å, c = 7.4048 Å
α = 90.00°, β = 90.00°, γ = 120.00°
Last column: nearest neighbours and their distance in Å.
Fractional coordinates of all 24 atoms:
1 Cu 0.0000 0.0000 0.7500  3 As 2.42
2 Cu 0.0000 0.0000 0.2500  3 As 2.42
3 Cu 0.3333 0.6667 0.6536  3 As 2.49, 6 Cu 2.70-2.72
4 Cu 0.6667 0.3333 0.8464  3 As 2.49, 6 Cu 2.70-2.72
5 Cu 0.6667 0.3333 0.3464  3 As 2.49, 6 Cu 2.70-2.72
6 Cu 0.3333 0.6667 0.1536  3 As 2.49, 6 Cu 2.70-2.72
7 Cu 0.3701 0.0540 0.0809  3 As 2.47-2.64, 6 Cu 2.59-2.76
8 Cu 0.9460 0.3160 0.0809  3 As 2.47-2.64, 6 Cu 2.59-2.76
9 Cu 0.6840 0.6299 0.0809  3 As 2.47-2.64, 6 Cu 2.59-2.76
10 Cu 0.3160 0.9460 0.4191  3 As 2.47-2.64, 6 Cu 2.59-2.76
11 Cu 0.6299 0.6840 0.4191  3 As 2.47-2.64, 6 Cu 2.59-2.76
12 Cu 0.0540 0.3701 0.4191  3 As 2.47-2.64, 6 Cu 2.59-2.76
13 Cu 0.6299 0.9460 0.9191  3 As 2.47-2.64, 6 Cu 2.59-2.76
14 Cu 0.0540 0.6840 0.9191  3 As 2.47-2.64, 6 Cu 2.59-2.76
15 Cu 0.3160 0.3701 0.9191  3 As 2.47-2.64, 6 Cu 2.59-2.76
16 Cu 0.6840 0.0540 0.5809  3 As 2.47-2.64, 6 Cu 2.59-2.76
17 Cu 0.3701 0.3160 0.5809  3 As 2.47-2.64, 6 Cu 2.59-2.76
18 Cu 0.9460 0.6299 0.5809  3 As 2.47-2.64, 6 Cu 2.59-2.76
19 As 0.6633 0.6633 0.7500  9 Cu 2.42-2.64
20 As 0.0000 0.3367 0.7500  9 Cu 2.42-2.64
21 As 0.3367 0.0000 0.7500  9 Cu 2.42-2.64
22 As 0.3367 0.3367 0.2500  9 Cu 2.42-2.64
23 As 0.0000 0.6633 0.2500  9 Cu 2.42-2.64
24 As 0.6633 0.0000 0.2500  9 Cu 2.42-2.64

Output
Symmetry   P-3c1 (165)
Magnetization   0.0000 μB per atom
Calculated formation energy   0.08 eV/atom
DFT total energy   -4.160 eV per atom

***

No. 7
# CeCuSi

A relaxed structure of CeCuSi (PBE, the Materials Project database).

a = 4.1425 Å, b = 4.1425 Å, c = 7.9832 Å
α = 90.00°, β = 90.00°, γ = 120.00°
Last column: nearest neighbours and their distance in Å.
Fractional coordinates of all 6 atoms:
1 Ce 0.0000 0.0000 0.5000  6 Cu 3.12, 6 Si 3.12
2 Ce 0.0000 0.0000 0.0000  6 Cu 3.12, 6 Si 3.12
3 Cu 0.3333 0.6667 0.7500  3 Si 2.39
4 Cu 0.6667 0.3333 0.2500  3 Si 2.39
5 Si 0.6667 0.3333 0.7500  3 Cu 2.39
6 Si 0.3333 0.6667 0.2500  3 Cu 2.39

Output
Symmetry   P6_3/mmc (194)
Calculated formation energy   -0.54 eV/atom
DFT total energy   -5.715 eV per atom

***

No. 8
# Ti2B

A relaxed structure of Ti2B (PBE, the Materials Project database).

a = 4.8434 Å, b = 4.8434 Å, c = 4.8434 Å
α = 99.59°, β = 99.59°, γ = 131.83°
Last column: nearest neighbours and their distance in Å.
Fractional coordinates of all 6 atoms:
1 Ti 0.1580 0.6580 0.8160  2 B 2.36, 2 Ti 2.56
2 Ti 0.8420 0.3420 0.1840  2 B 2.36, 2 Ti 2.56
3 Ti 0.3420 0.1580 0.5000  2 B 2.36, 2 Ti 2.56
4 Ti 0.6580 0.8420 0.5000  2 B 2.36, 2 Ti 2.56
5 B 0.5000 0.5000 0.0000  2 B 1.98
6 B 0.0000 0.0000 0.0000  2 B 1.98

Output
Symmetry   I4/mcm (140)
Magnetization   0.0032 μB per atom
Calculated formation energy   0.16 eV/atom
DFT total energy   -7.329 eV per atom

***

No. 9
# Ba3P6O22

A relaxed structure of Ba3P6O22 (PBE, the Materials Project database).

a = 9.1854 Å, b = 9.1854 Å, c = 7.8483 Å
α = 82.95°, β = 82.95°, γ = 54.33°
Last column: nearest neighbours and their distance in Å.
Fractional coordinates of all 31 atoms:
1 Ba 0.8014 0.8014 0.9321  10 O 2.73-3.06
2 Ba 0.1996 0.1996 0.0584  6 O 2.70-2.93
3 Ba 0.9522 0.9522 0.4226  7 O 2.69-2.96
4 P 0.5362 0.1987 0.6967  4 O 1.50-1.63
5 P 0.1987 0.5362 0.6967  4 O 1.50-1.63
6 P 0.4658 0.8043 0.3028  4 O 1.50-1.62
7 P 0.8043 0.4658 0.3028  4 O 1.50-1.62
8 P 0.6904 0.6904 0.5922  4 O 1.50-1.63
9 P 0.3134 0.3134 0.4010  4 O 1.50-1.62
10 O 0.4715 0.1040 0.8166  1 P 1.50
11 O 0.1040 0.4715 0.8166  1 P 1.50
12 O 0.5314 0.8990 0.1830  1 P 1.51
13 O 0.8990 0.5314 0.1830  1 P 1.51
14 O 0.7310 0.1248 0.6968  1 P 1.50
15 O 0.1248 0.7310 0.6968  1 P 1.50
16 O 0.2730 0.8746 0.2912  1 P 1.50
17 O 0.8746 0.2730 0.2912  1 P 1.50
18 O 0.4989 0.1999 0.4980  2 P 1.62-1.63
19 O 0.1999 0.4989 0.4980  2 P 1.62-1.63
20 O 0.5009 0.8019 0.5006  2 P 1.62-1.63
21 O 0.8019 0.5009 0.5006  2 P 1.62-1.63
22 O 0.7831 0.7831 0.5538  1 P 1.50
23 O 0.2210 0.2210 0.4211  1 P 1.50
24 O 0.7135 0.0993 0.1344  2 O 2.76-3.08, 2 Ba 2.96-2.97
25 O 0.0993 0.7135 0.1344  2 O 2.76-3.08, 2 Ba 2.96-2.97
26 O 0.3022 0.8490 0.9088  3 O 2.76-3.08
27 O 0.8490 0.3022 0.9088  3 O 2.76-3.08
28 O 0.4117 0.4117 0.7267  2 P 1.62
29 O 0.5912 0.5912 0.2713  2 P 1.62
30 O 0.6562 0.6562 0.7814  1 P 1.51
31 O 0.3529 0.3529 0.2133  1 P 1.52

Output
Symmetry   Cm (8)
Magnetization   0.2581 μB per atom
Calculated formation energy   -2.29 eV/atom
DFT total energy   -6.547 eV per atom

***

No. 10
# LaMgGa

A relaxed structure of LaMgGa (PBE, the Materials Project database).

a = 7.6019 Å, b = 7.6019 Å, c = 4.6258 Å
α = 90.00°, β = 90.00°, γ = 120.00°
Last column: nearest neighbours and their distance in Å.
Fractional coordinates of all 9 atoms:
1 La 0.0000 0.5775 0.0000  5 Ga 3.21-3.24, 2 Mg 3.44
2 La 0.4225 0.4225 0.0000  5 Ga 3.21-3.24, 2 Mg 3.44
3 La 0.5775 0.0000 0.0000  5 Ga 3.21-3.24, 2 Mg 3.44
4 Mg 0.0000 0.2418 0.5000  4 Ga 2.94-2.95, 2 Mg 3.18
5 Mg 0.7582 0.7582 0.5000  4 Ga 2.94-2.95, 2 Mg 3.18
6 Mg 0.2418 0.0000 0.5000  4 Ga 2.94-2.95, 2 Mg 3.18
7 Ga 0.3333 0.6667 0.5000  3 Mg 2.94, 6 La 3.24
8 Ga 0.6667 0.3333 0.5000  3 Mg 2.94, 6 La 3.24
9 Ga 0.0000 0.0000 0.0000  6 Mg 2.95, 3 La 3.21

Output
Symmetry   P-62m (189)
Calculated formation energy   -0.49 eV/atom
DFT total energy   -3.674 eV per atom

***

No. 11
# LiPdW2

A relaxed structure of LiPdW2 (PBE, the Materials Project database).

a = 4.3927 Å, b = 4.3927 Å, c = 4.3927 Å
α = 60.00°, β = 60.00°, γ = 60.00°
Last column: nearest neighbours and their distance in Å.
Fractional coordinates of all 4 atoms:
1 Li 0.0000 0.0000 0.0000  8 W 2.69
2 Pd 0.5000 0.5000 0.5000  8 W 2.69
3 W 0.7500 0.7500 0.7500  4 Pd 2.69, 4 Li 2.69
4 W 0.2500 0.2500 0.2500  4 Li 2.69, 4 Pd 2.69

Output
Symmetry   Fm-3m (225)
Magnetization   0.0000 μB per atom
Calculated formation energy   0.78 eV/atom
DFT total energy   -7.476 eV per atom

***

No. 12
# MgAg2P2O9

A relaxed structure of MgAg2P2O9 (PBE, the Materials Project database).

a = 6.5338 Å, b = 6.9244 Å, c = 15.8940 Å
α = 90.00°, β = 90.00°, γ = 90.00°
Last column: nearest neighbours and their distance in Å.
Fractional coordinates of all 56 atoms:
1 Mg 0.7500 0.8880 0.2252  6 O 2.14-2.37
2 Mg 0.7500 0.6120 0.7252  6 O 2.14-2.37
3 Mg 0.2500 0.3880 0.2748  6 O 2.14-2.37
4 Mg 0.2500 0.1120 0.7748  6 O 2.14-2.37
5 Ag 0.7500 0.3704 0.1186  6 O 2.03-2.27
6 Ag 0.2500 0.6296 0.8814  6 O 2.03-2.27
7 Ag 0.2500 0.8704 0.3814  6 O 2.03-2.27
8 Ag 0.7500 0.1296 0.6186  6 O 2.03-2.27
9 Ag 0.0000 0.0000 0.0000  4 O 2.04-2.16
10 Ag 0.0000 0.5000 0.5000  4 O 2.04-2.16
11 Ag 0.5000 0.5000 0.5000  4 O 2.04-2.16
12 Ag 0.5000 0.0000 0.0000  4 O 2.04-2.16
13 P 0.2500 0.3839 0.0787  4 O 1.51-1.57
14 P 0.7500 0.6161 0.9213  4 O 1.51-1.57
15 P 0.7500 0.8839 0.4213  4 O 1.51-1.57
16 P 0.2500 0.1161 0.5787  4 O 1.51-1.57
17 P 0.7500 0.3860 0.2927  4 O 1.54-1.61
18 P 0.7500 0.1140 0.7927  4 O 1.54-1.61
19 P 0.2500 0.8860 0.2073  4 O 1.54-1.61
20 P 0.2500 0.6140 0.7073  4 O 1.54-1.61
21 O 0.4538 0.6067 0.6586  1 P 1.54
22 O 0.9538 0.3933 0.3414  1 P 1.54
23 O 0.5462 0.1067 0.8414  1 P 1.54
24 O 0.0462 0.8933 0.1586  1 P 1.54
25 O 0.5462 0.3933 0.3414  1 P 1.54
26 O 0.0462 0.6067 0.6586  1 P 1.54
27 O 0.4538 0.8933 0.1586  1 P 1.54
28 O 0.9538 0.1067 0.8414  1 P 1.54
29 O 0.2500 0.3017 0.5223  1 P 1.57
30 O 0.7500 0.6983 0.4777  1 P 1.57
31 O 0.7500 0.8017 0.9777  1 P 1.57
32 O 0.2500 0.1983 0.0223  1 P 1.57
33 O 0.7500 0.1090 0.0602  3 Ag 2.03-2.04
34 O 0.2500 0.8910 0.9398  3 Ag 2.03-2.04
35 O 0.2500 0.6090 0.4398  3 Ag 2.03-2.04
36 O 0.7500 0.3910 0.5602  3 Ag 2.03-2.04
37 O 0.7500 0.1955 0.2379  1 P 1.58
38 O 0.2500 0.8045 0.7621  1 P 1.58
39 O 0.2500 0.6955 0.2621  1 P 1.58
40 O 0.7500 0.3045 0.7379  1 P 1.58
41 O 0.0740 0.1229 0.6445  1 P 1.55
42 O 0.5740 0.8771 0.3555  1 P 1.55
43 O 0.9260 0.6229 0.8555  1 P 1.55
44 O 0.4260 0.3771 0.1445  1 P 1.55
45 O 0.9260 0.8771 0.3555  1 P 1.55
46 O 0.4260 0.1229 0.6445  1 P 1.55
47 O 0.0740 0.3771 0.1445  1 P 1.55
48 O 0.5740 0.6229 0.8555  1 P 1.55
49 O 0.7500 0.4425 0.9792  1 P 1.51
50 O 0.2500 0.0630 0.2728  1 P 1.61
51 O 0.2500 0.4370 0.7728  1 P 1.61
52 O 0.7500 0.5630 0.2272  1 P 1.61
53 O 0.7500 0.0575 0.4792  1 P 1.51
54 O 0.2500 0.9425 0.5208  1 P 1.51
55 O 0.2500 0.5575 0.0208  1 P 1.51
56 O 0.7500 0.9370 0.7272  1 P 1.61

Output
Symmetry   Pnma (62)
Magnetization   0.0580 μB per atom
Calculated formation energy   -1.86 eV/atom
DFT total energy   -5.892 eV per atom